A plane-wave DFT calculation with PBE was carried out for a relaxed structure of K4Tc2H6C8O21.

Geometry as POSCAR:
```
K4Tc2H6C8O21
1.0
9.594 0.000 0.000
3.535 9.473 0.000
0.556 1.181 12.905
K Tc H C O
8 4 12 16 42
direct
0.086 0.100 0.131
0.099 0.844 0.390
0.276 0.487 0.853
0.388 0.212 0.560
0.612 0.788 0.440
0.724 0.513 0.147
0.901 0.156 0.610
0.914 0.900 0.869
0.221 0.417 0.232
0.469 0.239 0.222
0.531 0.761 0.778
0.779 0.583 0.768
0.169 0.242 0.748
0.310 0.148 0.808
0.353 0.977 0.282
0.371 0.871 0.198
0.441 0.500 0.202
0.475 0.531 0.513
0.525 0.469 0.487
0.559 0.500 0.798
0.629 0.129 0.802
0.647 0.023 0.718
0.690 0.852 0.192
0.831 0.758 0.252
0.049 0.578 0.665
0.073 0.366 0.419
0.092 0.721 0.166
0.145 0.647 0.065
0.219 0.836 0.687
0.268 0.889 0.580
0.397 0.932 0.950
0.448 0.776 0.999
0.552 0.224 0.001
0.603 0.068 0.050
0.732 0.111 0.420
0.781 0.164 0.313
0.855 0.353 0.935
0.908 0.279 0.834
0.927 0.634 0.581
0.951 0.422 0.335
0.003 0.424 0.239
0.030 0.851 0.164
0.049 0.329 0.509
0.083 0.854 0.698
0.117 0.634 0.250
0.127 0.714 0.979
0.183 0.539 0.642
0.206 0.362 0.384
0.208 0.510 0.081
0.222 0.022 0.562
0.266 0.240 0.768
0.276 0.234 0.184
0.314 0.774 0.762
0.315 0.906 0.261
0.322 0.031 0.999
0.335 0.796 0.520
0.417 0.444 0.261
0.438 0.946 0.853
0.444 0.748 0.095
0.475 0.145 0.343
0.494 0.683 0.932
0.506 0.317 0.068
0.525 0.855 0.657
0.556 0.252 0.905
0.562 0.054 0.147
0.583 0.556 0.739
0.665 0.204 0.480
0.678 0.969 0.001
0.685 0.094 0.739
0.686 0.226 0.238
0.724 0.766 0.816
0.734 0.760 0.232
0.778 0.978 0.438
0.792 0.490 0.919
0.794 0.638 0.616
0.817 0.461 0.358
0.873 0.286 0.021
0.883 0.366 0.750
0.917 0.146 0.302
0.951 0.671 0.491
0.970 0.149 0.836
0.997 0.576 0.761
```

Summary:
The density comes out at 2.24 Mg/m³. As for the formation energy: -1.604 eV per atom. The value obtained for the size of the total moment is 1.00 μB per formula unit. As for the space group: P-1, No. 2.